No. 1
## Si6C8N2O19 (PBE-GGA)

Data for Si6C8N2O19 after structural relaxation.

a b c (Å): 14.9050 14.9050 14.9050
angles (deg): 145.69 144.25 50.39
Fractional positions:
Si  0.7175  0.7175  0.0000
Si  0.7175  0.2175  0.5000
Si  0.0208  0.8968  0.3129
Si  0.5839  0.7079  0.6871
Si  0.0208  0.2079  0.6241
Si  0.5839  0.3968  0.3759
Si  0.3824  0.7472  0.7973
Si  0.9499  0.5851  0.2027
Si  0.3824  0.0851  0.1352
Si  0.9499  0.2472  0.8648
Si  0.2495  0.7495  0.5000
Si  0.2495  0.2495  0.0000
C  0.3805  0.3839  0.6668
C  0.7170  0.7137  0.3332
C  0.3805  0.2137  0.4966
C  0.7170  0.8839  0.5034
C  0.4475  0.2684  0.6791
C  0.5893  0.7684  0.3209
C  0.3593  0.3807  0.4786
C  0.9020  0.8807  0.5214
C  0.9650  0.5777  0.8874
C  0.6903  0.0777  0.1126
C  0.1252  0.7686  0.1318
C  0.6368  0.9934  0.8682
C  0.1252  0.4934  0.8565
C  0.6368  0.2686  0.1435
C  0.0363  0.6335  0.9028
C  0.7307  0.1335  0.0972
N  0.3064  0.3276  0.4788
N  0.8487  0.8276  0.5212
N  0.1433  0.5982  0.0451
N  0.5531  0.0982  0.9549
O  0.5693  0.7682  0.9790
O  0.7892  0.5903  0.0210
O  0.5693  0.0903  0.3011
O  0.7892  0.2682  0.6989
O  0.8664  0.8438  0.2029
O  0.6409  0.6634  0.7971
O  0.8664  0.1634  0.5226
O  0.6409  0.3438  0.4774
O  0.0243  0.0820  0.4423
O  0.6397  0.5820  0.5577
O  0.1754  0.8761  0.4795
O  0.3966  0.6960  0.5205
O  0.1754  0.1960  0.7993
O  0.3966  0.3761  0.2007
O  0.0085  0.8130  0.1353
O  0.6777  0.8732  0.8647
O  0.0085  0.3732  0.6956
O  0.6777  0.3130  0.3044
O  0.3264  0.8868  0.9396
O  0.9472  0.3868  0.0604
O  0.3284  0.5380  0.5675
O  0.9705  0.7609  0.4325
O  0.3284  0.2609  0.2903
O  0.9705  0.0380  0.7097
O  0.3209  0.8106  0.7048
O  0.1058  0.6161  0.2952
O  0.3209  0.1161  0.0103
O  0.1058  0.3106  0.9897
O  0.8612  0.5366  0.4925
O  0.0441  0.3688  0.5075
O  0.8612  0.8688  0.8247
O  0.0441  0.0366  0.1753
O  0.9778  0.4778  0.5000
O  0.9778  0.9778  0.0000
O  0.2447  0.7047  0.8999
O  0.8048  0.3448  0.1001
O  0.2447  0.8448  0.0400
O  0.8048  0.2047  0.9600

Summary:
Its space-group type is Ima2, No. 46. As for the calculated formation energy: -0.69 eV per atom. The calculation puts the energy above the lowest structure with this stoichiometry at 102 meV per atom. The total magnetic moment is 7.28 μB per cell. The total energy is -482.3 eV/cell.

***

No. 2
## Si3C10NO7 (PBE-GGA)

Data for Si3C10NO7 after structural relaxation.

a b c (Å): 8.9771 11.5065 12.4795
angles (deg): 90.00 90.00 90.00
Fractional positions:
Si  0.2536  0.7710  0.5157
Si  0.7464  0.2710  0.4843
Si  0.2464  0.2710  0.5157
Si  0.7536  0.7710  0.4843
Si  0.9876  0.6577  0.6341
Si  0.0124  0.1577  0.3659
Si  0.5124  0.1577  0.6341
Si  0.4876  0.6577  0.3659
Si  0.4813  0.3837  0.3525
Si  0.5187  0.8837  0.6475
Si  0.0187  0.8837  0.3525
Si  0.9813  0.3837  0.6475
C  0.0388  0.4273  0.0530
C  0.9612  0.9273  0.9470
C  0.4612  0.9273  0.0530
C  0.5388  0.4273  0.9470
C  0.0117  0.3498  0.9675
C  0.9883  0.8498  0.0325
C  0.4883  0.8498  0.9675
C  0.5117  0.3498  0.0325
C  0.0059  0.3830  0.8605
C  0.9941  0.8830  0.1395
C  0.4941  0.8830  0.8605
C  0.5059  0.3830  0.1395
C  0.0400  0.4995  0.8665
C  0.9600  0.9995  0.1335
C  0.4600  0.9995  0.8665
C  0.5400  0.4995  0.1335
C  0.0689  0.6023  0.9153
C  0.9311  0.1023  0.0847
C  0.4311  0.1023  0.9153
C  0.5689  0.6023  0.0847
C  0.0627  0.5311  0.9995
C  0.9373  0.0311  0.0005
C  0.4373  0.0311  0.9995
C  0.5627  0.5311  0.0005
C  0.9756  0.9349  0.8329
C  0.0244  0.4349  0.1671
C  0.5244  0.4349  0.8329
C  0.4756  0.9349  0.1671
C  0.0222  0.9208  0.6416
C  0.9778  0.4208  0.3584
C  0.4778  0.4208  0.6416
C  0.5222  0.9208  0.3584
C  0.4767  0.5158  0.7001
C  0.5233  0.0158  0.2999
C  0.0233  0.0158  0.7001
C  0.9767  0.5158  0.2999
C  0.9858  0.8570  0.7363
C  0.0142  0.3570  0.2637
C  0.5142  0.3570  0.7363
C  0.4858  0.8570  0.2637
N  0.5003  0.5508  0.7951
N  0.4997  0.0508  0.2049
N  0.9997  0.0508  0.7951
N  0.0003  0.5508  0.2049
O  0.9759  0.5230  0.6711
O  0.0241  0.0230  0.3289
O  0.5241  0.0230  0.6711
O  0.4759  0.5230  0.3289
O  0.8594  0.6786  0.5468
O  0.1406  0.1786  0.4532
O  0.6406  0.1786  0.5468
O  0.3594  0.6786  0.4532
O  0.6401  0.3492  0.4065
O  0.3599  0.8492  0.5935
O  0.8599  0.8492  0.4065
O  0.1401  0.3492  0.5935
O  0.9591  0.7422  0.7421
O  0.0409  0.2422  0.2579
O  0.5409  0.2422  0.7421
O  0.4591  0.7422  0.2579
O  0.4695  0.3231  0.2300
O  0.5305  0.8231  0.7700
O  0.0305  0.8231  0.2300
O  0.9695  0.3231  0.7700
O  0.1519  0.6846  0.5884
O  0.8481  0.1846  0.4116
O  0.3481  0.1846  0.5884
O  0.6519  0.6846  0.4116
O  0.3400  0.3410  0.4235
O  0.6600  0.8410  0.5765
O  0.1600  0.8410  0.4235
O  0.8400  0.3410  0.5765

Summary:
Its space-group type is Pca2_1, No. 29. As for the calculated formation energy: -0.70 eV per atom. The calculation puts the energy above the lowest structure with this stoichiometry at 26 meV per atom. The total magnetic moment is 4.00 μB per cell. The total energy is -645.5 eV/cell.

***

No. 3
## Si9C8NO19 (PBE-GGA)

Data for Si9C8NO19 after structural relaxation.

a b c (Å): 9.6853 7.4657 17.5794
angles (deg): 65.92 90.00 90.00
Fractional positions:
Si  0.7981  0.0706  0.4722
Si  0.7981  0.9294  0.0278
Si  0.2019  0.9294  0.5278
Si  0.2019  0.0706  0.9722
Si  0.3930  0.3009  0.4579
Si  0.3930  0.6991  0.0421
Si  0.6070  0.6991  0.5421
Si  0.6070  0.3009  0.9579
Si  0.6009  0.2839  0.3197
Si  0.6009  0.7161  0.1803
Si  0.3991  0.7161  0.6803
Si  0.3991  0.2839  0.8197
Si  0.6490  0.2592  0.5736
Si  0.6490  0.7408  0.9264
Si  0.3510  0.7408  0.4264
Si  0.3510  0.2592  0.0736
Si  0.4540  0.0000  0.2500
Si  0.5460  0.0000  0.7500
C  0.2295  0.5943  0.2262
C  0.2295  0.4057  0.2738
C  0.7705  0.4057  0.7738
C  0.7705  0.5943  0.7262
C  0.9097  0.3620  0.1755
C  0.9097  0.6380  0.3245
C  0.0903  0.6380  0.8245
C  0.0903  0.3620  0.6755
C  0.8916  0.2657  0.1309
C  0.8916  0.7343  0.3691
C  0.1084  0.7343  0.8691
C  0.1084  0.2657  0.6309
C  0.9577  0.4525  0.2216
C  0.9577  0.5475  0.2784
C  0.0423  0.5475  0.7784
C  0.0423  0.4525  0.7216
N  0.0800  0.5000  0.2500
N  0.9200  0.5000  0.7500
O  0.7363  0.1891  0.3785
O  0.7363  0.8109  0.1215
O  0.2637  0.8109  0.6215
O  0.2637  0.1891  0.8785
O  0.7742  0.1955  0.5282
O  0.7742  0.8045  0.9718
O  0.2258  0.8045  0.4718
O  0.2258  0.1955  0.0282
O  0.5011  0.2293  0.5356
O  0.5011  0.7707  0.9644
O  0.4989  0.7707  0.4644
O  0.4989  0.2293  0.0356
O  0.4742  0.3074  0.3757
O  0.4742  0.6926  0.1243
O  0.5258  0.6926  0.6243
O  0.5258  0.3074  0.8757
O  0.5534  0.1464  0.2731
O  0.5534  0.8536  0.2269
O  0.4466  0.8536  0.7269
O  0.4466  0.1464  0.7731
O  0.6428  0.5000  0.2500
O  0.3572  0.5000  0.7500
O  0.9698  0.0548  0.4583
O  0.9698  0.9452  0.0417
O  0.0302  0.9452  0.5417
O  0.0302  0.0548  0.9583
O  0.7327  0.8544  0.5194
O  0.7327  0.1456  0.9806
O  0.2673  0.1456  0.4806
O  0.2673  0.8544  0.0194
O  0.6708  0.4865  0.5584
O  0.6708  0.5135  0.9416
O  0.3292  0.5135  0.4416
O  0.3292  0.4865  0.0584
O  0.6474  0.1225  0.6726
O  0.6474  0.8775  0.8274
O  0.3526  0.8775  0.3274
O  0.3526  0.1225  0.1726

Summary:
Its space-group type is P2/c, No. 13. As for the calculated formation energy: -1.52 eV per atom. The total magnetic moment is 2.00 μB per cell. The total energy is -556.1 eV/cell.

***

No. 4
## Sm2CN2O2 (PBE-GGA)

Data for Sm2CN2O2 after structural relaxation.

a b c (Å): 3.8558 3.8558 8.3082
angles (deg): 90.00 90.00 120.00
Fractional positions:
Sm  0.6667  0.3333  0.8209
Sm  0.3333  0.6667  0.1791
C  0.0000  0.0000  0.5000
N  0.0000  0.0000  0.3511
N  0.0000  0.0000  0.6489
O  0.6667  0.3333  0.1032
O  0.3333  0.6667  0.8968

Summary:
Its space-group type is P-3m1, No. 164. As for the calculated formation energy: -2.31 eV per atom. The total magnetic moment is 0.00 μB per cell. The total energy is -60.1 eV/cell.

***

No. 5
## Tm2CN2O2 (PBE-GGA)

Data for Tm2CN2O2 after structural relaxation.

a b c (Å): 3.6641 3.6641 8.1348
angles (deg): 90.00 90.00 120.00
Fractional positions:
Tm  0.6667  0.3333  0.1758
Tm  0.3333  0.6667  0.8242
C  0.0000  0.0000  0.5000
N  0.0000  0.0000  0.3481
N  0.0000  0.0000  0.6519
O  0.3333  0.6667  0.1026
O  0.6667  0.3333  0.8974

Summary:
Its space-group type is P-3m1, No. 164. As for the calculated formation energy: -2.43 eV per atom. The total magnetic moment is 0.00 μB per cell. The total energy is -60.4 eV/cell.

***

No. 6
## UC3NO8 (PBE-GGA)

Data for UC3NO8 after structural relaxation.

a b c (Å): 14.4552 6.4654 11.4237
angles (deg): 57.93 90.00 90.00
Fractional positions:
U  0.2539  0.0110  0.5757
U  0.2461  0.0110  0.0757
U  0.7461  0.9890  0.4243
U  0.7539  0.9890  0.9243
C  0.1913  0.4687  0.5959
C  0.3087  0.4687  0.0959
C  0.8087  0.5313  0.4041
C  0.6913  0.5313  0.9041
C  0.1041  0.3004  0.6403
C  0.3959  0.3004  0.1403
C  0.8959  0.6996  0.3597
C  0.6041  0.6996  0.8597
C  0.5202  0.2140  0.5131
C  0.9798  0.2140  0.0131
C  0.4798  0.7860  0.4869
C  0.0202  0.7860  0.9869
N  0.9718  0.7305  0.7171
N  0.5282  0.7305  0.2171
N  0.0282  0.2695  0.2829
N  0.4718  0.2695  0.7829
O  0.2435  0.1732  0.3910
O  0.2565  0.1732  0.8910
O  0.7565  0.8268  0.6090
O  0.7435  0.8268  0.1090
O  0.2799  0.8425  0.7567
O  0.2201  0.8425  0.2567
O  0.7201  0.1575  0.2433
O  0.7799  0.1575  0.7433
O  0.4413  0.2087  0.5397
O  0.0587  0.2087  0.0397
O  0.5587  0.7913  0.4603
O  0.9413  0.7913  0.9603
O  0.5987  0.2197  0.4861
O  0.9013  0.2197  0.9861
O  0.4013  0.7803  0.5139
O  0.0987  0.7803  0.0139
O  0.1902  0.6622  0.5975
O  0.3098  0.6622  0.0975
O  0.8098  0.3378  0.4025
O  0.6902  0.3378  0.9025
O  0.1175  0.1289  0.6132
O  0.3825  0.1289  0.1132
O  0.8825  0.8711  0.3868
O  0.6175  0.8711  0.8868
O  0.0371  0.3233  0.6977
O  0.4629  0.3233  0.1977
O  0.9629  0.6767  0.3023
O  0.5371  0.6767  0.8023
O  0.2604  0.3863  0.5643
O  0.2396  0.3863  0.0643
O  0.7396  0.6137  0.4357
O  0.7604  0.6137  0.9357

Summary:
Its space-group type is P2_1/c, No. 14. As for the calculated formation energy: -1.59 eV per atom. The total magnetic moment is 12.00 μB per cell. The total energy is -408.4 eV/cell.

***

No. 7
## ZnC2N8O4 (PBE-GGA)

Data for ZnC2N8O4 after structural relaxation.

a b c (Å): 8.9574 10.0902 11.6552
angles (deg): 54.75 90.00 90.00
Fractional positions:
Zn  0.0000  0.0000  0.0000
Zn  0.5000  0.0000  0.5000
C  0.6156  0.2155  0.8113
C  0.1156  0.7845  0.6887
C  0.3844  0.7845  0.1887
C  0.8844  0.2155  0.3113
N  0.8304  0.3599  0.9489
N  0.3304  0.6401  0.5511
N  0.1696  0.6401  0.0511
N  0.6696  0.3599  0.4489
N  0.9426  0.3064  0.9919
N  0.4426  0.6936  0.5081
N  0.0574  0.6936  0.0081
N  0.5574  0.3064  0.4919
N  0.1928  0.1946  0.7185
N  0.6928  0.8054  0.7815
N  0.8072  0.8054  0.2815
N  0.3072  0.1946  0.2185
N  0.1347  0.2909  0.6204
N  0.6347  0.7091  0.8796
N  0.8653  0.7091  0.3796
N  0.3653  0.2909  0.1204
O  0.7064  0.1268  0.8181
O  0.2064  0.8732  0.6819
O  0.2936  0.8732  0.1819
O  0.7936  0.1268  0.3181
O  0.5244  0.3037  0.8042
O  0.0244  0.6963  0.6958
O  0.4756  0.6963  0.1958
O  0.9756  0.3037  0.3042

Summary:
Its space-group type is P2_1/c, No. 14. As for the calculated formation energy: -0.61 eV per atom. The total magnetic moment is 0.05 μB per cell. The total energy is -225.2 eV/cell.

***

No. 8
## OsC6N9 (PBE-GGA)

Data for OsC6N9 after structural relaxation.

a b c (Å): 7.7746 13.8507 11.3546
angles (deg): 90.00 90.00 27.03
Fractional positions:
Os  0.0000  0.2798  0.2500
Os  0.0000  0.7202  0.7500
C  0.6818  0.7923  0.2500
C  0.6818  0.5260  0.7500
C  0.3182  0.2077  0.7500
C  0.3182  0.4740  0.2500
C  0.6812  0.3027  0.9025
C  0.6812  0.0160  0.0975
C  0.6812  0.3027  0.5975
C  0.6812  0.0160  0.4025
C  0.3188  0.6973  0.0975
C  0.3188  0.9840  0.9025
C  0.3188  0.6973  0.4025
C  0.3188  0.9840  0.5975
N  0.0000  0.5873  0.2500
N  0.0000  0.4127  0.7500
N  0.3827  0.9796  0.2500
N  0.3827  0.6377  0.7500
N  0.6173  0.0204  0.7500
N  0.6173  0.3623  0.2500
N  0.0000  0.1183  0.9487
N  0.0000  0.8817  0.0513
N  0.0000  0.1183  0.5513
N  0.0000  0.8817  0.4487
N  0.3806  0.4739  0.8651
N  0.3806  0.1455  0.1349
N  0.3806  0.4739  0.6349
N  0.3806  0.1455  0.3651
N  0.6194  0.5261  0.1349
N  0.6194  0.8545  0.8651
N  0.6194  0.5261  0.3651
N  0.6194  0.8545  0.6349

Summary:
Its space-group type is Cmcm, No. 63. As for the calculated formation energy: 0.34 eV per atom. The total magnetic moment is 0.16 μB per cell. The total energy is -266.0 eV/cell.

***

No. 9
## Os2C3N6 (PBE-GGA)

Data for Os2C3N6 after structural relaxation.

a b c (Å): 10.1743 5.2881 29.0384
angles (deg): 90.00 162.36 74.94
Fractional positions:
Os  0.9527  0.9985  0.1503
Os  0.9527  0.0488  0.6503
Os  0.0473  0.0015  0.8497
Os  0.0473  0.9512  0.3497
C  0.0145  0.6556  0.0834
C  0.0000  0.6880  0.7500
C  0.9855  0.6701  0.4166
C  0.0145  0.3299  0.5834
C  0.9855  0.3444  0.9166
C  0.0000  0.3120  0.2500
N  0.8845  0.7465  0.0814
N  0.1022  0.6388  0.8267
N  0.9535  0.6490  0.4482
N  0.8845  0.3690  0.5814
N  0.9535  0.3975  0.9482
N  0.1022  0.2590  0.3267
N  0.1156  0.2535  0.9186
N  0.8978  0.3612  0.1734
N  0.0465  0.3510  0.5518
N  0.1156  0.6310  0.4186
N  0.0465  0.6025  0.0518
N  0.8978  0.7410  0.6734

Summary:
Its space-group type is C2/c, No. 15. As for the calculated formation energy: 0.28 eV per atom. The calculation puts the energy above the lowest structure with this stoichiometry at 0 meV per atom. The total magnetic moment is 0.00 μB per cell. The total energy is -189.9 eV/cell.